## DyTa3 (PBE-GGA)

Data for crystalline DyTa3 at its relaxed geometry.

ΔE_f, eV/atom: 0.40

Cell lengths 4.8613, 4.8613, 4.8613 Å; angles 60.00, 60.00, 60.00 degrees
With the nearest neighbours (Å) after each atom.
Atoms (fractional coordinates):
Dy: 0.0000 0.0000 0.0000  8 Ta 2.98
Ta: 0.2500 0.2500 0.2500  4 Ta 2.98, 4 Dy 2.98
Ta: 0.5000 0.5000 0.5000  8 Ta 2.98
Ta: 0.7500 0.7500 0.7500  4 Ta 2.98, 4 Dy 2.98